(1)
La2Bi2O7 PBE optimized geometry; ΔE_f = -28.55 eV per formula unit; total energy after the MP2020 corrections = -7.349 eV/atom
1.0
0.0000 5.6352 5.6352
5.6352 0.0000 5.6352
5.6352 5.6352 0.0000
O Bi La
14 4 4
Direct
0.2818 0.7182 0.7182
0.2818 0.2818 0.7182
0.5318 0.9682 0.9682
0.0000 0.0000 0.0000
0.7182 0.7182 0.2818
0.9682 0.5318 0.5318
0.2818 0.7182 0.2818
0.9682 0.5318 0.9682
0.9682 0.9682 0.5318
0.7182 0.2818 0.2818
0.5318 0.5318 0.9682
0.2500 0.2500 0.2500
0.5318 0.9682 0.5318
0.7182 0.2818 0.7182
0.6250 0.1250 0.6250
0.6250 0.6250 0.1250
0.6250 0.6250 0.6250
0.1250 0.6250 0.6250
0.1250 0.1250 0.1250
0.6250 0.1250 0.1250
0.1250 0.1250 0.6250
0.1250 0.6250 0.1250

***

(2)
La2Bi2O7 PBE optimized geometry; M_tot = 0.005 μB/cell; ΔE_f = -28.23 eV per formula unit; total energy after the MP2020 corrections = -7.320 eV/atom
1.0
5.9604 0.0000 0.0000
0.0000 8.4420 0.0000
0.0000 2.1363 14.1544
O La Bi
28 8 8
Direct
0.9853 0.8402 0.2473
0.1282 0.2679 0.9212
0.0530 0.9198 0.0182
0.5815 0.5981 0.5470
0.0564 0.8656 0.4381
0.3967 0.7753 0.8847
0.1566 0.1684 0.3214
0.4009 0.4222 0.1807
0.5564 0.1344 0.5619
0.4853 0.1598 0.7527
0.3979 0.9917 0.1804
0.4155 0.6770 0.3081
0.0515 0.0717 0.5900
0.9009 0.5778 0.8193
0.6011 0.3721 0.3841
0.9155 0.3230 0.6919
0.5530 0.0802 0.9818
0.0592 0.5624 0.0180
0.6282 0.7321 0.0788
0.9911 0.5165 0.2519
0.8979 0.0083 0.8196
0.5515 0.9283 0.4100
0.4911 0.4835 0.7481
0.8967 0.2247 0.1153
0.5592 0.4376 0.9820
0.1011 0.6279 0.6159
0.0815 0.4019 0.4530
0.6566 0.8316 0.6786
0.7736 0.7632 0.9213
0.2736 0.2368 0.0787
0.7514 0.2845 0.8753
0.2514 0.7155 0.1247
0.8331 0.1429 0.4351
0.2825 0.3545 0.6110
0.3331 0.8571 0.5649
0.7825 0.6455 0.3890
0.7675 0.9735 0.1183
0.2666 0.5322 0.8774
0.2800 0.4135 0.3248
0.7688 0.0779 0.6822
0.2675 0.0265 0.8817
0.2688 0.9221 0.3178
0.7666 0.4678 0.1226
0.7800 0.5865 0.6752

***

(3)
Sr2LaBiO6 PBE optimized geometry; M_tot = 0.000 μB/cell; ΔE_f = -27.61 eV per formula unit; total energy after the MP2020 corrections = -6.951 eV/atom
1.0
8.7350 0.0000 0.0000
0.0000 8.7350 0.0000
0.0000 0.0000 8.7350
O Sr La Bi
24 8 4 4
Direct
0.1989 0.0133 0.7104
0.5133 0.7896 0.6989
0.7104 0.8011 0.9867
0.4867 0.2104 0.6989
0.3011 0.4867 0.7896
0.2104 0.6989 0.4867
0.1989 0.9867 0.2896
0.6989 0.5133 0.7896
0.3011 0.5133 0.2104
0.2896 0.1989 0.9867
0.8011 0.0133 0.2896
0.9867 0.2896 0.1989
0.5133 0.2104 0.3011
0.0133 0.2896 0.8011
0.7896 0.3011 0.4867
0.2896 0.8011 0.0133
0.4867 0.7896 0.3011
0.8011 0.9867 0.7104
0.2104 0.3011 0.5133
0.0133 0.7104 0.1989
0.6989 0.4867 0.2104
0.9867 0.7104 0.8011
0.7896 0.6989 0.5133
0.7104 0.1989 0.0133
0.0000 0.0000 0.5000
0.5000 0.5000 0.5000
0.0000 0.5000 0.5000
0.5000 0.5000 0.0000
0.5000 0.0000 0.5000
0.0000 0.0000 0.0000
0.5000 0.0000 0.0000
0.0000 0.5000 0.0000
0.7500 0.7500 0.2500
0.2500 0.7500 0.7500
0.2500 0.2500 0.2500
0.7500 0.2500 0.7500
0.2500 0.2500 0.7500
0.2500 0.7500 0.2500
0.7500 0.7500 0.7500
0.7500 0.2500 0.2500